The following is a DFT calculation (PBE with a Hubbard U) of crystalline Fe6O5F7 at its relaxed geometry.

abc: 4.7435 5.6913 7.8606
angles: 85.18 89.35 88.69
Fractional coordinates of all 18 atoms:
1 Fe 0.0000 0.0000 0.0000
2 Fe 0.0089 0.6496 0.3014
3 Fe 0.0221 0.3327 0.6338
4 Fe 0.5198 0.8338 0.6491
5 Fe 0.5444 0.1861 0.3264
6 Fe 0.5931 0.4950 0.9708
7 O 0.3387 0.1224 0.5512
8 O 0.7218 0.2023 0.0891
9 O 0.7253 0.5456 0.7389
10 O 0.8317 0.7107 0.0676
11 O 0.8334 0.3572 0.4215
12 F 0.2153 0.2901 0.8786
13 F 0.2330 0.6294 0.5469
14 F 0.2361 0.9726 0.2122
15 F 0.3265 0.8009 0.8786
16 F 0.3393 0.4664 0.2019
17 F 0.7267 0.8690 0.4203
18 F 0.8344 0.0355 0.7532

Values from the calculation:
Energy   -5.91 eV/atom
Formation enthalpy at 0 K   -2.087 eV/atom
Symmetry   P1, No. 1
Excess energy over the best structure of this formula in the dataset   25 meV/atom
Magnetic moment   29.000 μB/f.u.



The following is a DFT calculation (PBE with a Hubbard U) of crystalline Fe4O7F at its relaxed geometry.

abc: 7.5667 7.5667 4.6045
angles: 91.17 91.17 105.03
Fractional coordinates of all 24 atoms:
1 Fe 0.0000 0.0000 0.0000
2 Fe 0.1207 0.3672 0.5094
3 Fe 0.2510 0.7630 0.9869
4 Fe 0.3672 0.1207 0.5094
5 Fe 0.5202 0.5202 0.9634
6 Fe 0.6311 0.8831 0.4921
7 Fe 0.7630 0.2510 0.9869
8 Fe 0.8831 0.6311 0.4921
9 O 0.0327 0.7835 0.1854
10 O 0.1036 0.5983 0.6853
11 O 0.1526 0.1526 0.3006
12 O 0.2150 0.9777 0.8080
13 O 0.3517 0.3517 0.6820
14 O 0.4051 0.9101 0.2995
15 O 0.4701 0.7341 0.7983
16 O 0.5983 0.1036 0.6853
17 O 0.6594 0.6594 0.3015
18 O 0.7341 0.4701 0.7983
19 O 0.7835 0.0327 0.1854
20 O 0.8495 0.8495 0.6969
21 O 0.9101 0.4051 0.2995
22 O 0.9777 0.2150 0.8080
23 F 0.2837 0.5312 0.1861
24 F 0.5312 0.2837 0.1861

Values from the calculation:
Energy   -6.12 eV/atom
Formation enthalpy at 0 K   -1.442 eV/atom
Symmetry   Cm, No. 8
Excess energy over the best structure of this formula in the dataset   22 meV/atom
Magnetic moment   16.049 μB/f.u.



The following is a DFT calculation (PBE with a Hubbard U) of crystalline Fe7O2F14 at its relaxed geometry.

abc: 4.8473 6.0721 10.3942
angles: 93.32 90.07 92.11
Fractional coordinates of all 23 atoms:
1 Fe 0.0000 0.0000 0.0000
2 Fe 0.0000 0.5000 0.0000
3 Fe 0.0092 0.2443 0.7418
4 Fe 0.4929 0.7271 0.7565
5 Fe 0.5000 0.0000 0.5000
6 Fe 0.5071 0.2729 0.2435
7 Fe 0.9908 0.7557 0.2582
8 O 0.1712 0.2613 0.9101
9 O 0.8288 0.7387 0.0899
10 F 0.2231 0.4839 0.6780
11 F 0.2294 0.0082 0.1786
12 F 0.2382 0.5105 0.1684
13 F 0.2400 0.7905 0.4081
14 F 0.2542 0.7407 0.9189
15 F 0.2597 0.0135 0.6604
16 F 0.3319 0.2348 0.4172
17 F 0.6681 0.7652 0.5828
18 F 0.7403 0.9865 0.3396
19 F 0.7458 0.2593 0.0811
20 F 0.7600 0.2095 0.5919
21 F 0.7618 0.4895 0.8316
22 F 0.7706 0.9918 0.8214
23 F 0.7769 0.5161 0.3220

Values from the calculation:
Energy   -5.55 eV/atom
Formation enthalpy at 0 K   -2.404 eV/atom
Symmetry   P-1, No. 2
Magnetic moment   32.000 μB/f.u.



The following is a DFT calculation (PBE with a Hubbard U) of crystalline Fe4OF7 at its relaxed geometry.

abc: 4.8169 5.8313 10.8193
angles: 82.43 89.70 89.70
Fractional coordinates of all 24 atoms:
1 Fe 0.0048 0.1275 0.1245
2 Fe 0.0115 0.3872 0.3707
3 Fe 0.4760 0.8530 0.3750
4 Fe 0.4872 0.6220 0.1331
5 Fe 0.5128 0.3780 0.8669
6 Fe 0.5240 0.1470 0.6250
7 Fe 0.9885 0.6128 0.6293
8 Fe 0.9952 0.8725 0.8755
9 O 0.3088 0.6158 0.3084
10 O 0.6912 0.3842 0.6916
11 F 0.1951 0.3388 0.5493
12 F 0.1960 0.6012 0.7983
13 F 0.2033 0.8553 0.0488
14 F 0.2068 0.1039 0.3033
15 F 0.2996 0.0845 0.7877
16 F 0.3038 0.3502 0.0464
17 F 0.3105 0.8570 0.5468
18 F 0.6895 0.1430 0.4532
19 F 0.6962 0.6498 0.9536
20 F 0.7004 0.9155 0.2123
21 F 0.7932 0.8961 0.6967
22 F 0.7967 0.1447 0.9512
23 F 0.8040 0.3988 0.2017
24 F 0.8049 0.6612 0.4507

Values from the calculation:
Energy   -5.69 eV/atom
Formation enthalpy at 0 K   -2.412 eV/atom
Symmetry   P-1, No. 2
Excess energy over the best structure of this formula in the dataset   6 meV/atom
Magnetic moment   17.000 μB/f.u.



The following is a DFT calculation (PBE with a Hubbard U) of crystalline Fe4O7F at its relaxed geometry.

abc: 9.7184 9.7184 5.5128
angles: 99.61 99.61 144.10
Fractional coordinates of all 24 atoms:
1 Fe 0.0589 0.9411 0.5000
2 Fe 0.1825 0.7996 0.9639
3 Fe 0.2827 0.6614 0.4548
4 Fe 0.4271 0.5566 0.9730
5 Fe 0.5566 0.4271 0.4730
6 Fe 0.6614 0.2827 0.9548
7 Fe 0.7996 0.1825 0.4639
8 Fe 0.9411 0.0589 0.0000
9 O 0.1359 0.1688 0.8012
10 O 0.1688 0.1359 0.3012
11 O 0.1929 0.4733 0.6576
12 O 0.2245 0.4475 0.1669
13 O 0.3731 0.8941 0.7623
14 O 0.4035 0.8726 0.2756
15 O 0.4475 0.2245 0.6669
16 O 0.4733 0.1929 0.1576
17 O 0.6350 0.6657 0.7922
18 O 0.6657 0.6350 0.2922
19 O 0.7257 0.9470 0.1684
20 O 0.8726 0.4035 0.7756
21 O 0.8941 0.3731 0.2623
22 O 0.9470 0.7257 0.6684
23 F 0.6990 0.9748 0.6673
24 F 0.9748 0.6990 0.1673

Values from the calculation:
Energy   -6.14 eV/atom
Formation enthalpy at 0 K   -1.459 eV/atom
Symmetry   Cc, No. 9
Excess energy over the best structure of this formula in the dataset   5 meV/atom
Magnetic moment   17.025 μB/f.u.



The following is a DFT calculation (PBE with a Hubbard U) of crystalline Fe3O2F4 at its relaxed geometry.

abc: 4.7534 5.7225 7.9284
angles: 93.88 90.34 90.70
Fractional coordinates of all 18 atoms:
1 Fe 0.0000 0.0000 0.0000
2 Fe 0.0021 0.3532 0.3572
3 Fe 0.4512 0.1704 0.6868
4 Fe 0.5000 0.5000 0.0000
5 Fe 0.5488 0.8296 0.3132
6 Fe 0.9979 0.6468 0.6428
7 O 0.2091 0.3636 0.5706
8 O 0.2935 0.1879 0.9066
9 O 0.7065 0.8121 0.0934
10 O 0.7909 0.6364 0.4294
11 F 0.1849 0.7057 0.8891
12 F 0.2021 0.0346 0.2379
13 F 0.2922 0.5512 0.2369
14 F 0.3080 0.8719 0.5649
15 F 0.6920 0.1281 0.4351
16 F 0.7078 0.4488 0.7631
17 F 0.7979 0.9654 0.7621
18 F 0.8151 0.2943 0.1109

Values from the calculation:
Energy   -5.83 eV/atom
Formation enthalpy at 0 K   -2.162 eV/atom
Symmetry   P-1, No. 2
Excess energy over the best structure of this formula in the dataset   35 meV/atom
Magnetic moment   14.000 μB/f.u.



The following is a DFT calculation (PBE with a Hubbard U) of crystalline Fe10O11F9 at its relaxed geometry.

abc: 4.7590 4.7590 15.3083
angles: 90.13 90.13 93.91
Fractional coordinates of all 30 atoms:
1 Fe 0.0000 0.0000 0.0000
2 Fe 0.0057 0.0514 0.5989
3 Fe 0.4952 0.5031 0.9013
4 Fe 0.4969 0.5048 0.0987
5 Fe 0.5166 0.4619 0.7080
6 Fe 0.5243 0.4757 0.5000
7 Fe 0.5381 0.4834 0.2920
8 Fe 0.9486 0.9943 0.4011
9 Fe 0.9858 0.0037 0.7945
10 Fe 0.9963 0.0142 0.2055
11 O 0.2995 0.2975 0.8077
12 O 0.3020 0.3071 0.0001
13 O 0.3068 0.3057 0.1943
14 O 0.3224 0.3215 0.6014
15 O 0.6785 0.6776 0.3986
16 O 0.6929 0.6980 0.9999
17 O 0.6943 0.6932 0.8057
18 O 0.7025 0.7005 0.1923
19 O 0.8052 0.1867 0.2989
20 O 0.8047 0.1953 0.5000
21 O 0.8133 0.1948 0.7011
22 F 0.1867 0.8079 0.9016
23 F 0.1875 0.8125 0.5000
24 F 0.1890 0.8037 0.3007
25 F 0.1921 0.8133 0.0984
26 F 0.1963 0.8110 0.6993
27 F 0.2943 0.2883 0.3978
28 F 0.7117 0.7057 0.6022
29 F 0.8039 0.1898 0.9026
30 F 0.8102 0.1961 0.0974

Values from the calculation:
Energy   -6.02 eV/atom
Formation enthalpy at 0 K   -1.953 eV/atom
Symmetry   C2, No. 5
Excess energy over the best structure of this formula in the dataset   11 meV/atom
Magnetic moment   49.001 μB/f.u.



The following is a DFT calculation (PBE with a Hubbard U) of crystalline Fe4OF7 at its relaxed geometry.

abc: 10.3250 10.3250 4.9230
angles: 91.97 91.97 34.87
Fractional coordinates of all 24 atoms:
1 Fe 0.0000 0.0000 0.0000
2 Fe 0.1075 0.6567 0.5223
3 Fe 0.2565 0.2565 0.0206
4 Fe 0.3945 0.8692 0.5205
5 Fe 0.5036 0.5036 0.0031
6 Fe 0.6567 0.1075 0.5223
7 Fe 0.7486 0.7486 0.9859
8 Fe 0.8692 0.3945 0.5205
9 O 0.6790 0.6790 0.7159
10 O 0.9302 0.9302 0.7230
11 F 0.0601 0.5506 0.8107
12 F 0.0821 0.0821 0.3206
13 F 0.1810 0.1810 0.7179
14 F 0.2129 0.6984 0.2196
15 F 0.2988 0.8124 0.8124
16 F 0.3328 0.3328 0.3238
17 F 0.4307 0.4307 0.7096
18 F 0.4518 0.9596 0.2216
19 F 0.5506 0.0601 0.8107
20 F 0.5770 0.5770 0.2975
21 F 0.6984 0.2129 0.2196
22 F 0.8124 0.2988 0.8124
23 F 0.8249 0.8249 0.2851
24 F 0.9596 0.4518 0.2216

Values from the calculation:
Energy   -5.64 eV/atom
Formation enthalpy at 0 K   -2.369 eV/atom
Symmetry   Cm, No. 8
Excess energy over the best structure of this formula in the dataset   50 meV/atom
Magnetic moment   17.000 μB/f.u.



The following is a DFT calculation (PBE with a Hubbard U) of crystalline Fe3O2F4 at its relaxed geometry.

abc: 4.8346 4.8346 9.2798
angles: 90.37 90.37 93.42
Fractional coordinates of all 18 atoms:
1 Fe 0.0000 0.0000 0.0000
2 Fe 0.0128 0.0128 0.6573
3 Fe 0.4740 0.4740 0.8354
4 Fe 0.5000 0.5000 0.5000
5 Fe 0.5260 0.5260 0.1646
6 Fe 0.9872 0.9872 0.3427
7 O 0.1690 0.1690 0.8320
8 O 0.2024 0.2024 0.4961
9 O 0.7976 0.7976 0.5039
10 O 0.8310 0.8310 0.1680
11 F 0.2103 0.2103 0.1664
12 F 0.2922 0.7078 0.0000
13 F 0.2978 0.6945 0.6602
14 F 0.3055 0.7022 0.3398
15 F 0.6945 0.2978 0.6602
16 F 0.7022 0.3055 0.3398
17 F 0.7078 0.2922 0.0000
18 F 0.7897 0.7897 0.8336

Values from the calculation:
Energy   -5.86 eV/atom
Formation enthalpy at 0 K   -2.194 eV/atom
Symmetry   C2/m, No. 12
Excess energy over the best structure of this formula in the dataset   3 meV/atom
Magnetic moment   14.000 μB/f.u.



The following is a DFT calculation (PBE with a Hubbard U) of crystalline Fe4O7F at its relaxed geometry.

abc: 9.6697 9.6697 4.5924
angles: 91.63 91.63 36.45
Fractional coordinates of all 24 atoms:
1 Fe 0.0000 0.0000 0.0000
2 Fe 0.1269 0.6353 0.4797
3 Fe 0.2473 0.2473 0.0066
4 Fe 0.3890 0.8695 0.4779
5 Fe 0.5037 0.5037 0.9850
6 Fe 0.6353 0.1269 0.4797
7 Fe 0.7554 0.7554 0.9805
8 Fe 0.8695 0.3890 0.4779
9 O 0.0552 0.5484 0.1774
10 O 0.1729 0.1729 0.3043
11 O 0.2079 0.7025 0.7949
12 O 0.3019 0.8005 0.1797
13 O 0.4262 0.4262 0.2894
14 O 0.4534 0.9557 0.7923
15 O 0.5484 0.0552 0.1774
16 O 0.5792 0.5792 0.6804
17 O 0.6788 0.6788 0.2856
18 O 0.7025 0.2079 0.7949
19 O 0.8005 0.3019 0.1797
20 O 0.8324 0.8324 0.6774
21 O 0.9287 0.9287 0.2932
22 O 0.9557 0.4534 0.7923
23 F 0.0771 0.0771 0.6886
24 F 0.3278 0.3278 0.6782

Values from the calculation:
Energy   -6.13 eV/atom
Formation enthalpy at 0 K   -1.454 eV/atom
Symmetry   Cm, No. 8
Excess energy over the best structure of this formula in the dataset   10 meV/atom
Magnetic moment   17.121 μB/f.u.



The following is a DFT calculation (PBE with a Hubbard U) of crystalline Fe4OF7 at its relaxed geometry.

abc: 6.3679 4.8543 4.8543
angles: 90.63 90.00 90.00
Fractional coordinates of all 12 atoms:
1 Fe 0.0000 0.0000 0.0000
2 Fe 0.2305 0.5289 0.5289
3 Fe 0.5000 0.0263 0.0263
4 Fe 0.7695 0.5289 0.5289
5 O 0.0000 0.7144 0.7144
6 F 0.0000 0.3050 0.3050
7 F 0.2555 0.2274 0.8137
8 F 0.2555 0.8137 0.2274
9 F 0.5000 0.3323 0.3323
10 F 0.5000 0.7189 0.7189
11 F 0.7445 0.2274 0.8137
12 F 0.7445 0.8137 0.2274

Values from the calculation:
Energy   -5.67 eV/atom
Formation enthalpy at 0 K   -2.392 eV/atom
Symmetry   Amm2, No. 38
Excess energy over the best structure of this formula in the dataset   26 meV/atom
Magnetic moment   17.000 μB/f.u.



The following is a DFT calculation (PBE with a Hubbard U) of crystalline Fe10O11F9 at its relaxed geometry.

abc: 4.7274 4.7312 15.3640
angles: 89.70 89.70 89.05
Fractional coordinates of all 30 atoms:
1 Fe 0.0000 0.0000 0.0000
2 Fe 0.0001 0.0167 0.3923
3 Fe 0.0041 0.0001 0.7967
4 Fe 0.4145 0.4877 0.8975
5 Fe 0.4332 0.5154 0.0985
6 Fe 0.4373 0.5221 0.4973
7 Fe 0.4404 0.5159 0.6970
8 Fe 0.4652 0.4862 0.2982
9 Fe 0.9359 0.9532 0.2044
10 Fe 0.9410 0.9469 0.5954
11 O 0.1369 0.8030 0.1015
12 O 0.1438 0.8032 0.6959
13 O 0.1458 0.8139 0.4945
14 O 0.1535 0.8100 0.8982
15 O 0.1635 0.7889 0.2984
16 O 0.2656 0.3101 0.0006
17 O 0.2687 0.3093 0.7948
18 O 0.2845 0.3153 0.3963
19 O 0.6364 0.6679 0.2002
20 O 0.6384 0.6772 0.5969
21 O 0.7657 0.1871 0.2984
22 F 0.2468 0.2953 0.5966
23 F 0.2501 0.2880 0.1969
24 F 0.6528 0.7023 0.9972
25 F 0.6559 0.7016 0.7982
26 F 0.6644 0.7023 0.3995
27 F 0.7504 0.1918 0.0975
28 F 0.7534 0.1911 0.6969
29 F 0.7557 0.1987 0.4982
30 F 0.7630 0.2032 0.8974

Values from the calculation:
Energy   -6.03 eV/atom
Formation enthalpy at 0 K   -1.962 eV/atom
Symmetry   P1, No. 1
Excess energy over the best structure of this formula in the dataset   3 meV/atom
Magnetic moment   49.002 μB/f.u.



Copy entry 2 word for word.
The following is a DFT calculation (PBE with a Hubbard U) of crystalline Fe4O7F at its relaxed geometry.

abc: 7.5667 7.5667 4.6045
angles: 91.17 91.17 105.03
Fractional coordinates of all 24 atoms:
1 Fe 0.0000 0.0000 0.0000
2 Fe 0.1207 0.3672 0.5094
3 Fe 0.2510 0.7630 0.9869
4 Fe 0.3672 0.1207 0.5094
5 Fe 0.5202 0.5202 0.9634
6 Fe 0.6311 0.8831 0.4921
7 Fe 0.7630 0.2510 0.9869
8 Fe 0.8831 0.6311 0.4921
9 O 0.0327 0.7835 0.1854
10 O 0.1036 0.5983 0.6853
11 O 0.1526 0.1526 0.3006
12 O 0.2150 0.9777 0.8080
13 O 0.3517 0.3517 0.6820
14 O 0.4051 0.9101 0.2995
15 O 0.4701 0.7341 0.7983
16 O 0.5983 0.1036 0.6853
17 O 0.6594 0.6594 0.3015
18 O 0.7341 0.4701 0.7983
19 O 0.7835 0.0327 0.1854
20 O 0.8495 0.8495 0.6969
21 O 0.9101 0.4051 0.2995
22 O 0.9777 0.2150 0.8080
23 F 0.2837 0.5312 0.1861
24 F 0.5312 0.2837 0.1861

Values from the calculation:
Energy   -6.12 eV/atom
Formation enthalpy at 0 K   -1.442 eV/atom
Symmetry   Cm, No. 8
Excess energy over the best structure of this formula in the dataset   22 meV/atom
Magnetic moment   16.049 μB/f.u.